The following is a PBE with a Hubbard U calculation of a relaxed Na4FeO5 crystal, from the Materials Project.

Output
- Formation energy from the elements: -14.67 eV/f.u.
- Energy above the most stable polymorph in this dataset: 0.022 eV per atom
- MP2020-corrected energy: -106.341 eV per cell

a b c (Å): 5.6828 5.7123 8.4981
angles (deg): 101.46 109.26 102.21
Fractional coordinates of all 20 atoms:
Na (0.0000, 0.0000, 0.0000)
Na (0.0000, 0.5000, 0.5000)
Na (0.2043, 0.0000, 0.4054)
Na (0.2039, 0.4860, 0.9033)
Na (0.3846, 0.4903, 0.2928)
Na (0.6154, 0.5097, 0.7072)
Na (0.7957, 0.0000, 0.5946)
Na (0.7961, 0.5140, 0.0967)
Fe (0.4050, 0.9917, 0.8068)
Fe (0.5950, 0.0083, 0.1932)
O (0.0657, 0.7811, 0.7583)
O (0.2509, 0.2006, 0.6905)
O (0.2654, 0.7841, 0.1572)
O (0.4063, 0.7832, 0.6065)
O (0.4233, 0.1878, 0.0372)
O (0.5767, 0.8122, 0.9628)
O (0.5937, 0.2168, 0.3935)
O (0.7346, 0.2159, 0.8428)
O (0.7491, 0.7994, 0.3095)
O (0.9343, 0.2189, 0.2417)